Compound: CsAg5Te3
Source: the Materials Project database
Functional: GGA-PBE
Structure: relaxed

Structure (POSCAR):
```
CsAg5Te3
1.0
14.919 0.000 0.000
0.000 14.919 0.000
0.000 0.000 4.655
Cs Ag Te
4 20 12
Direct
0.113 0.113 0.000
0.387 0.613 0.500
0.613 0.387 0.500
0.887 0.887 0.000
0.017 0.396 0.000
0.079 0.712 0.500
0.104 0.517 0.500
0.178 0.822 0.000
0.212 0.421 0.000
0.288 0.921 0.500
0.322 0.322 0.500
0.396 0.017 0.000
0.421 0.212 0.000
0.483 0.896 0.500
0.517 0.104 0.500
0.579 0.788 0.000
0.604 0.983 0.000
0.678 0.678 0.500
0.712 0.079 0.500
0.788 0.579 0.000
0.822 0.178 0.000
0.896 0.483 0.500
0.921 0.288 0.500
0.983 0.604 0.000
0.102 0.898 0.500
0.117 0.329 0.500
0.171 0.617 0.000
0.329 0.117 0.500
0.383 0.829 0.000
0.398 0.398 0.000
0.602 0.602 0.000
0.617 0.171 0.000
0.671 0.883 0.500
0.829 0.383 0.000
0.883 0.671 0.500
0.898 0.102 0.500
```

- MP2020-corrected energy (eV per atom) = -3.156
- DFT formation energy (meV per atom) = -435



Compound: Dy2CuAg3
Source: the Materials Project database
Functional: GGA-PBE
Structure: relaxed

Structure (POSCAR):
```
Dy2CuAg3
1.0
3.714 0.000 0.000
0.000 3.714 0.000
0.000 0.000 9.053
Dy Cu Ag
2 1 3
Direct
0.000 0.000 0.000
0.500 0.500 0.484
0.500 0.500 0.156
0.000 0.000 0.316
0.000 0.000 0.661
0.500 0.500 0.825
```

- DFT formation energy (meV per atom) = -269



Compound: DyCu4Ag
Source: the Materials Project database
Functional: GGA-PBE
Structure: relaxed

Structure (POSCAR):
```
DyCu4Ag
1.0
0.000 3.576 3.576
3.576 0.000 3.576
3.576 3.576 0.000
Dy Cu Ag
1 4 1
Direct
0.000 0.000 0.000
0.376 0.376 0.376
0.376 0.376 0.872
0.376 0.872 0.376
0.872 0.376 0.376
0.750 0.750 0.750
```

- DFT formation energy (meV per atom) = -238



Compound: CuAgF3
Source: the Materials Project database
Functional: GGA-PBE
Structure: relaxed

Structure (POSCAR):
```
CuAgF3
1.0
4.008 0.000 0.000
0.000 4.008 0.000
0.000 0.000 4.008
Cu Ag F
1 1 3
Direct
0.000 0.000 0.000
0.500 0.500 0.500
0.000 0.000 0.500
0.000 0.500 0.000
0.500 0.000 0.000
```

- MP2020-corrected energy (eV per atom) = -4.080
- DFT formation energy (meV per atom) = -1545
- E above lowest polymorph (eV per atom) = 0.022



Compound: CuAgF3
Source: the Materials Project database
Functional: GGA-PBE
Structure: relaxed

Structure (POSCAR):
```
CuAgF3
1.0
5.646 0.000 0.000
0.115 5.661 0.000
0.036 0.075 8.039
Cu Ag F
4 4 12
Direct
0.000 0.000 0.000
0.000 0.000 0.500
0.500 0.500 0.000
0.500 0.500 0.500
0.026 0.502 0.250
0.473 0.008 0.750
0.527 0.992 0.250
0.974 0.498 0.750
0.020 0.930 0.737
0.201 0.275 0.967
0.227 0.300 0.533
0.284 0.783 0.458
0.287 0.787 0.040
0.495 0.426 0.238
0.505 0.574 0.762
0.713 0.213 0.960
0.716 0.217 0.542
0.773 0.700 0.467
0.799 0.725 0.033
0.980 0.070 0.263
```

- MP2020-corrected energy (eV per atom) = -4.097
- DFT formation energy (meV per atom) = -1562
- E above lowest polymorph (eV per atom) = 0.005



Compound: CuAgF3
Source: the Materials Project database
Functional: GGA-PBE
Structure: relaxed

Structure (POSCAR):
```
CuAgF3
1.0
2.844 1.642 4.561
-2.844 1.642 4.561
0.000 -3.284 4.561
Cu Ag F
2 2 6
Direct
0.000 0.000 0.000
0.500 0.500 0.500
0.250 0.250 0.250
0.750 0.750 0.750
0.181 0.750 0.319
0.250 0.681 0.819
0.319 0.181 0.750
0.681 0.819 0.250
0.750 0.319 0.181
0.819 0.250 0.681
```

- MP2020-corrected energy (eV per atom) = -4.102
- DFT formation energy (meV per atom) = -1567
- E above lowest polymorph (eV per atom) = 0.000



Compound: InGaCuAgSe4
Source: the Materials Project database
Functional: GGA-PBE
Structure: relaxed

Structure (POSCAR):
```
InGaCuAgSe4
1.0
-2.977 2.977 5.779
2.977 -2.977 5.779
2.977 2.977 -5.779
In Ga Cu Ag Se
1 1 1 1 4
Direct
0.000 0.000 0.000
0.250 0.750 0.500
0.500 0.500 0.000
0.750 0.250 0.500
0.154 0.126 0.530
0.375 0.846 0.972
0.596 0.625 0.470
0.874 0.404 0.028
```

- MP2020-corrected energy (eV per atom) = -4.016
- DFT formation energy (meV per atom) = -679



Compound: InGaCuAgTe4
Source: the Materials Project database
Functional: GGA-PBE
Structure: relaxed

Structure (POSCAR):
```
InGaCuAgTe4
1.0
-3.179 3.179 6.231
3.179 -3.179 6.231
3.179 3.179 -6.231
In Ga Cu Ag Te
1 1 1 1 4
Direct
0.000 0.000 0.000
0.250 0.750 0.500
0.500 0.500 0.000
0.750 0.250 0.500
0.151 0.134 0.534
0.384 0.849 0.983
0.599 0.616 0.466
0.866 0.401 0.017
```

- MP2020-corrected energy (eV per atom) = -3.652
- DFT formation energy (meV per atom) = -491



Compound: CuAgGeSe3
Source: the Materials Project database
Functional: GGA-PBE
Structure: relaxed

Structure (POSCAR):
```
CuAgGeSe3
1.0
3.554 -6.094 0.000
3.554 6.094 0.000
-2.655 0.000 6.672
Cu Ag Ge Se
2 2 2 6
Direct
0.083 0.917 0.500
0.917 0.083 0.000
0.245 0.755 0.988
0.755 0.245 0.488
0.399 0.566 0.469
0.566 0.399 0.969
0.053 0.188 0.358
0.188 0.053 0.858
0.350 0.852 0.382
0.555 0.706 0.851
0.706 0.555 0.351
0.852 0.350 0.882
```

- MP2020-corrected energy (eV per atom) = -4.121
- DFT formation energy (meV per atom) = -447



Compound: Cu2AgHS2O10
Source: the Materials Project database
Functional: GGA-PBE
Structure: relaxed

Structure (POSCAR):
```
Cu2AgHS2O10
1.0
4.360 -3.062 0.000
4.360 3.062 0.000
-4.037 0.000 6.984
Cu Ag H S O
2 1 1 2 10
Direct
0.000 0.500 0.000
0.500 0.000 0.000
0.000 0.000 0.500
0.000 0.000 0.000
0.417 0.417 0.706
0.583 0.583 0.294
0.156 0.156 0.047
0.264 0.671 0.239
0.302 0.302 0.499
0.315 0.315 0.808
0.329 0.736 0.761
0.671 0.264 0.239
0.685 0.685 0.192
0.698 0.698 0.501
0.736 0.329 0.761
0.844 0.844 0.953
```

- MP2020-corrected energy (eV per atom) = -5.813
- DFT formation energy (meV per atom) = -1302



Compound: In2CuAgTe2Se2
Source: the Materials Project database
Functional: GGA-PBE
Structure: relaxed

Structure (POSCAR):
```
In2CuAgTe2Se2
1.0
4.352 -6.238 0.000
4.352 6.238 0.000
-4.326 0.000 4.416
In Cu Ag Te Se
2 1 1 2 2
Direct
0.000 0.000 0.000
0.736 0.264 0.500
0.231 0.769 0.500
0.503 0.497 0.000
0.132 0.413 0.037
0.587 0.868 0.963
0.356 0.111 0.496
0.889 0.644 0.504
```

- MP2020-corrected energy (eV per atom) = -3.667
- DFT formation energy (meV per atom) = -453



Compound: In2CuAgTe4
Source: the Materials Project database
Functional: GGA-PBE
Structure: relaxed

Structure (POSCAR):
```
In2CuAgTe4
1.0
-3.226 3.226 6.367
3.226 -3.226 6.367
3.226 3.226 -6.367
In Cu Ag Te
2 1 1 4
Direct
0.000 0.000 0.000
0.750 0.250 0.500
0.250 0.750 0.500
0.500 0.500 0.000
0.139 0.108 0.508
0.369 0.861 0.968
0.600 0.631 0.492
0.892 0.400 0.032
```

- MP2020-corrected energy (eV per atom) = -3.610
- DFT formation energy (meV per atom) = -484



What did the first record say?
Compound: CsAg5Te3
Source: the Materials Project database
Functional: GGA-PBE
Structure: relaxed

Structure (POSCAR):
```
CsAg5Te3
1.0
14.919 0.000 0.000
0.000 14.919 0.000
0.000 0.000 4.655
Cs Ag Te
4 20 12
Direct
0.113 0.113 0.000
0.387 0.613 0.500
0.613 0.387 0.500
0.887 0.887 0.000
0.017 0.396 0.000
0.079 0.712 0.500
0.104 0.517 0.500
0.178 0.822 0.000
0.212 0.421 0.000
0.288 0.921 0.500
0.322 0.322 0.500
0.396 0.017 0.000
0.421 0.212 0.000
0.483 0.896 0.500
0.517 0.104 0.500
0.579 0.788 0.000
0.604 0.983 0.000
0.678 0.678 0.500
0.712 0.079 0.500
0.788 0.579 0.000
0.822 0.178 0.000
0.896 0.483 0.500
0.921 0.288 0.500
0.983 0.604 0.000
0.102 0.898 0.500
0.117 0.329 0.500
0.171 0.617 0.000
0.329 0.117 0.500
0.383 0.829 0.000
0.398 0.398 0.000
0.602 0.602 0.000
0.617 0.171 0.000
0.671 0.883 0.500
0.829 0.383 0.000
0.883 0.671 0.500
0.898 0.102 0.500
```

- MP2020-corrected energy (eV per atom) = -3.156
- DFT formation energy (meV per atom) = -435



- DFT formation energy of number 10 (Cu2AgHS2O10)?
  -1302 meV per atom